The following is a GGA+U calculation of a relaxed structure of Li2P2WO8, from the Materials Project.

- total energy (Ha/atom) = -0.2561
- E_form (meV per atom) = -2564
- crystal system = trigonal

Cell and atoms, written as CIF:
```
data_Li2P2WO8
_cell_length_a 4.9058
_cell_length_b 4.9058
_cell_length_c 7.7374
_cell_angle_alpha 90.00
_cell_angle_beta 90.00
_cell_angle_gamma 120.00
_space_group_name_H-M_alt 'P -3'
_space_group_IT_number 147
_space_group_name_Hall '-P 3'
loop_
_atom_site_label
_atom_site_type_symbol
_atom_site_fract_x
_atom_site_fract_y
_atom_site_fract_z
Li1 Li 0.3333 0.6667 0.1658
P1 P 0.3333 0.6667 0.7315
W1 W 0.0000 0.0000 0.5000
O1 O 0.0415 0.6824 0.6615
O2 O 0.3333 0.6667 0.9248
```